(1)
Mg14TiCrO16 | GGA+U | relaxed

Cell: 8.632 8.632 4.249 Å, 90.00 90.00 90.00°
Atoms (fractional coordinates):
Mg 0.000 0.252 0.000
Mg 0.000 0.500 0.500
Mg 0.000 0.748 0.000
Mg 0.245 0.500 0.000
Mg 0.249 0.249 0.500
Mg 0.249 0.751 0.500
Mg 0.252 0.000 0.000
Mg 0.500 0.000 0.500
Mg 0.500 0.245 0.000
Mg 0.500 0.755 0.000
Mg 0.748 0.000 0.000
Mg 0.751 0.249 0.500
Mg 0.751 0.751 0.500
Mg 0.755 0.500 0.000
Ti 0.500 0.500 0.500
Cr 0.000 0.000 0.500
O 0.000 0.000 0.000
O 0.000 0.261 0.500
O 0.000 0.500 0.000
O 0.000 0.739 0.500
O 0.248 0.500 0.500
O 0.250 0.250 0.000
O 0.250 0.750 0.000
O 0.261 0.000 0.500
O 0.500 0.000 0.000
O 0.500 0.248 0.500
O 0.500 0.500 0.000
O 0.500 0.752 0.500
O 0.739 0.000 0.500
O 0.750 0.250 0.000
O 0.750 0.750 0.000
O 0.752 0.500 0.500

Space-group type: P4/mmm

(2)
MoP4O12 | GGA+U | relaxed

Cell: 7.655 13.130 12.098 Å, 90.00 129.18 90.00°
Atoms (fractional coordinates):
Mo 0.074 0.226 0.485
Mo 0.074 0.274 0.985
Mo 0.926 0.726 0.015
Mo 0.926 0.774 0.515
P 0.074 0.579 0.275
P 0.074 0.921 0.775
P 0.191 0.143 0.781
P 0.191 0.357 0.281
P 0.346 0.088 0.257
P 0.346 0.412 0.757
P 0.439 0.634 0.730
P 0.439 0.866 0.230
P 0.561 0.134 0.770
P 0.561 0.366 0.270
P 0.654 0.588 0.243
P 0.654 0.912 0.743
P 0.809 0.643 0.719
P 0.809 0.857 0.219
P 0.926 0.079 0.225
P 0.926 0.421 0.725
O 0.032 0.151 0.620
O 0.032 0.349 0.120
O 0.052 0.601 0.140
O 0.052 0.899 0.640
O 0.165 0.216 0.864
O 0.165 0.284 0.364
O 0.177 0.051 0.285
O 0.177 0.449 0.785
O 0.194 0.031 0.831
O 0.194 0.469 0.331
O 0.195 0.653 0.392
O 0.195 0.847 0.892
O 0.213 0.152 0.120
O 0.213 0.348 0.620
O 0.224 0.694 0.654
O 0.224 0.806 0.154
O 0.378 0.518 0.700
O 0.378 0.982 0.200
O 0.388 0.157 0.611
O 0.388 0.343 0.111
O 0.441 0.627 0.113
O 0.441 0.873 0.613
O 0.446 0.155 0.840
O 0.446 0.345 0.340
O 0.554 0.655 0.660
O 0.554 0.845 0.160
O 0.559 0.127 0.387
O 0.559 0.373 0.887
O 0.612 0.657 0.889
O 0.612 0.843 0.389
O 0.622 0.018 0.800
O 0.622 0.482 0.300
O 0.776 0.194 0.846
O 0.776 0.306 0.346
O 0.787 0.652 0.380
O 0.787 0.848 0.880
O 0.805 0.153 0.108
O 0.805 0.347 0.608
O 0.806 0.531 0.669
O 0.806 0.969 0.169
O 0.823 0.551 0.215
O 0.823 0.949 0.715
O 0.835 0.716 0.636
O 0.835 0.784 0.136
O 0.948 0.101 0.360
O 0.948 0.399 0.860
O 0.968 0.651 0.880
O 0.968 0.849 0.380

Energy relative to the lowest polymorph listed for this composition (meV per atom): 23
Space-group type: P2_1/c

(3)
Na2Fe2O5 | GGA+U | relaxed

Cell: 5.421 14.553 5.535 Å, 90.00 90.00 90.00°
Atoms (fractional coordinates):
Na 0.015 0.108 0.022
Na 0.015 0.392 0.022
Na 0.485 0.608 0.522
Na 0.485 0.892 0.522
Na 0.515 0.108 0.478
Na 0.515 0.392 0.478
Na 0.985 0.608 0.978
Na 0.985 0.892 0.978
Fe 0.000 0.000 0.500
Fe 0.000 0.500 0.500
Fe 0.049 0.250 0.570
Fe 0.451 0.750 0.070
Fe 0.500 0.000 0.000
Fe 0.500 0.500 0.000
Fe 0.549 0.250 0.930
Fe 0.951 0.750 0.430
O 0.016 0.639 0.556
O 0.016 0.861 0.556
O 0.112 0.750 0.131
O 0.245 0.512 0.242
O 0.245 0.988 0.242
O 0.255 0.012 0.742
O 0.255 0.488 0.742
O 0.388 0.250 0.631
O 0.484 0.139 0.056
O 0.484 0.361 0.056
O 0.516 0.639 0.944
O 0.516 0.861 0.944
O 0.612 0.750 0.369
O 0.745 0.512 0.258
O 0.745 0.988 0.258
O 0.755 0.012 0.758
O 0.755 0.488 0.758
O 0.888 0.250 0.869
O 0.984 0.139 0.444
O 0.984 0.361 0.444

Space-group type: Pnma

(4)
Ca8Mn7CrO20 | GGA+U | relaxed

Cell: 10.973 11.150 15.365 Å, 89.84 89.61 88.13°
Atoms (fractional coordinates):
Ca 0.000 0.000 0.000
Ca 0.001 0.496 0.006
Ca 0.040 0.492 0.278
Ca 0.041 0.990 0.775
Ca 0.041 0.995 0.279
Ca 0.042 0.495 0.774
Ca 0.218 0.241 0.517
Ca 0.218 0.739 0.518
Ca 0.220 0.240 0.015
Ca 0.220 0.740 0.010
Ca 0.247 0.743 0.766
Ca 0.248 0.242 0.767
Ca 0.249 0.243 0.267
Ca 0.251 0.741 0.270
Ca 0.454 0.471 0.021
Ca 0.457 0.968 0.022
Ca 0.458 0.467 0.522
Ca 0.458 0.967 0.522
Ca 0.480 0.473 0.767
Ca 0.481 0.973 0.768
Ca 0.483 0.478 0.267
Ca 0.485 0.975 0.266
Ca 0.766 0.253 0.288
Ca 0.766 0.257 0.787
Ca 0.767 0.757 0.785
Ca 0.768 0.757 0.289
Ca 0.774 0.234 0.513
Ca 0.774 0.732 0.513
Ca 0.775 0.731 0.013
Ca 0.777 0.227 0.011
Ca 0.993 0.994 0.505
Ca 0.997 0.496 0.504
Mn 0.004 0.247 0.646
Mn 0.004 0.748 0.646
Mn 0.005 0.245 0.888
Mn 0.005 0.249 0.147
Mn 0.006 0.242 0.390
Mn 0.007 0.744 0.390
Mn 0.243 0.490 0.141
Mn 0.244 0.488 0.640
Mn 0.244 0.989 0.142
Mn 0.244 0.989 0.640
Mn 0.254 0.485 0.895
Mn 0.254 0.986 0.895
Mn 0.257 0.484 0.395
Mn 0.257 0.984 0.396
Mn 0.488 0.736 0.140
Mn 0.489 0.734 0.640
Mn 0.490 0.234 0.640
Mn 0.496 0.221 0.384
Mn 0.496 0.222 0.884
Mn 0.496 0.240 0.141
Mn 0.496 0.723 0.385
Mn 0.498 0.720 0.884
Mn 0.725 0.946 0.637
Mn 0.726 0.447 0.638
Mn 0.730 0.942 0.138
Mn 0.754 0.007 0.395
Mn 0.756 0.508 0.393
Mn 0.757 0.005 0.894
Cr 0.004 0.742 0.891
Cr 0.007 0.757 0.146
Cr 0.731 0.439 0.134
Cr 0.761 0.508 0.892
O 0.000 0.210 0.021
O 0.000 0.706 0.021
O 0.000 0.706 0.520
O 0.003 0.286 0.268
O 0.004 0.785 0.767
O 0.006 0.288 0.769
O 0.007 0.793 0.271
O 0.075 0.899 0.125
O 0.092 0.405 0.626
O 0.092 0.406 0.129
O 0.094 0.905 0.626
O 0.113 0.379 0.410
O 0.113 0.382 0.910
O 0.114 0.882 0.908
O 0.115 0.881 0.412
O 0.131 0.639 0.169
O 0.140 0.135 0.168
O 0.144 0.137 0.666
O 0.145 0.637 0.665
O 0.146 0.135 0.875
O 0.151 0.630 0.873
O 0.153 0.626 0.375
O 0.154 0.127 0.374
O 0.245 0.528 0.019
O 0.246 0.028 0.019
O 0.250 0.527 0.517
O 0.252 0.030 0.518
O 0.258 0.451 0.766
O 0.258 0.953 0.767
O 0.260 0.452 0.269
O 0.260 0.950 0.270
O 0.337 0.840 0.120
O 0.341 0.339 0.620
O 0.341 0.841 0.620
O 0.343 0.341 0.121
O 0.368 0.832 0.419
O 0.369 0.331 0.418
O 0.369 0.336 0.917
O 0.373 0.832 0.917
O 0.405 0.074 0.888
O 0.407 0.573 0.888
O 0.409 0.580 0.149
O 0.410 0.572 0.389
O 0.411 0.071 0.388
O 0.413 0.577 0.648
O 0.415 0.078 0.649
O 0.428 0.082 0.147
O 0.521 0.769 0.266
O 0.525 0.267 0.765
O 0.526 0.768 0.766
O 0.531 0.276 0.268
O 0.600 0.335 0.576
O 0.601 0.834 0.573
O 0.603 0.836 0.076
O 0.608 0.347 0.073
O 0.653 0.151 0.903
O 0.653 0.156 0.401
O 0.653 0.655 0.398
O 0.655 0.654 0.903
O 0.699 0.471 0.772
O 0.701 0.971 0.771
O 0.703 0.973 0.269
O 0.707 0.481 0.256
O 0.776 0.028 0.526
O 0.777 0.525 0.525
O 0.781 0.522 0.031
O 0.783 0.021 0.026
O 0.829 0.296 0.147
O 0.835 0.796 0.645
O 0.836 0.295 0.647
O 0.840 0.780 0.149
O 0.845 0.360 0.402
O 0.846 0.861 0.406
O 0.850 0.353 0.905
O 0.850 0.854 0.903
O 0.899 0.601 0.863
O 0.902 0.110 0.366
O 0.903 0.110 0.866
O 0.903 0.611 0.364
O 0.999 0.206 0.521

Energy relative to the lowest polymorph listed for this composition (meV per atom): 0
Space-group type: P1

(5)
MgCr3InO8 | GGA+U | relaxed

Cell: 5.217 5.217 8.402 Å, 98.57 98.57 63.93°
Atoms (fractional coordinates):
Mg 0.000 0.000 0.000
Cr 0.100 0.100 0.352
Cr 0.485 0.485 0.543
Cr 0.711 0.711 0.152
In 0.179 0.179 0.756
O 0.325 0.325 0.400
O 0.339 0.857 0.166
O 0.341 0.858 0.532
O 0.420 0.420 0.725
O 0.775 0.775 0.970
O 0.857 0.339 0.166
O 0.858 0.341 0.532
O 0.873 0.873 0.291

Energy relative to the lowest polymorph listed for this composition (meV per atom): 175
Space-group type: Cm

(6)
Sr3Fe2O4F3 | GGA+U | relaxed

Cell: 10.941 10.941 10.941 Å, 158.76 158.76 30.21°
Atoms (fractional coordinates):
Sr 0.000 0.000 0.000
Sr 0.172 0.172 0.000
Sr 0.828 0.828 0.000
Fe 0.401 0.401 0.000
Fe 0.599 0.599 0.000
O 0.100 0.600 0.500
O 0.400 0.900 0.500
O 0.600 0.100 0.500
O 0.900 0.400 0.500
F 0.291 0.291 0.000
F 0.500 0.500 0.000
F 0.709 0.709 0.000

Space-group type: I4/mmm

(7)
Ba2EuCrO6 | GGA+U | relaxed

Cell: 5.932 5.932 5.932 Å, 60.00 60.00 60.00°
Atoms (fractional coordinates):
Ba 0.250 0.250 0.250
Ba 0.750 0.750 0.750
Eu 0.000 0.000 0.000
Cr 0.500 0.500 0.500
O 0.273 0.273 0.727
O 0.273 0.727 0.273
O 0.273 0.727 0.727
O 0.727 0.273 0.273
O 0.727 0.273 0.727
O 0.727 0.727 0.273

Space-group type: Fm-3m

Number 1: volume 9.9 Å³/atom, ΔH_f (0 K) -2903.3 meV/atom. Number 2: volume 13.9 Å³/atom, ΔH_f (0 K) -2446.1 meV/atom. Number 3: volume 12.1 Å³/atom, ΔH_f (0 K) -1492.9 meV/atom. Number 4: volume 13.0 Å³/atom, ΔH_f (0 K) -2540.7 meV/atom. Number 5: volume 15.6 Å³/atom, ΔH_f (0 K) -1879.1 meV/atom. Number 6: volume 14.3 Å³/atom, ΔH_f (0 K) -2800.7 meV/atom. Number 7: volume 14.8 Å³/atom, ΔH_f (0 K) -2677.0 meV/atom.